No. 1
A relaxed structure of CoPtO2. Source: the Materials Project database, functional GGA+U.

Values from the calculation:
- spin magnetization (μB/cell) = 0.01
- space-group type = C2, No. 5
- total energy (eV per atom) = -6.00

a = 7.036 Å, b = 7.036 Å, c = 5.016 Å
α = 104.29°, β = 104.29°, γ = 49.82°
Fractional positions:
Co 0.000 0.000 0.000
Co 0.259 0.741 0.500
Co 0.501 0.499 0.000
Co 0.761 0.239 0.500
Pt 0.005 0.494 0.002
Pt 0.254 0.246 0.497
Pt 0.506 0.995 0.998
Pt 0.754 0.746 0.503
O 0.100 0.076 0.388
O 0.163 0.659 0.113
O 0.341 0.837 0.887
O 0.417 0.407 0.609
O 0.593 0.583 0.391
O 0.662 0.159 0.111
O 0.841 0.338 0.889
O 0.924 0.900 0.612

***

No. 2
A relaxed structure of Li3VOF6. Source: the Materials Project database, functional GGA+U.

Values from the calculation:
- spin magnetization (μB/cell) = 0.00
- space-group type = P2_12_12_1, No. 19
- total energy (eV per atom) = -5.27

a = 5.204 Å, b = 5.216 Å, c = 16.127 Å
α = 90.00°, β = 90.00°, γ = 90.00°
Fractional positions:
Li 0.201 0.008 0.000
Li 0.233 0.509 0.124
Li 0.235 0.031 0.745
Li 0.265 0.969 0.245
Li 0.267 0.491 0.624
Li 0.299 0.992 0.500
Li 0.701 0.492 0.000
Li 0.733 0.991 0.876
Li 0.735 0.469 0.255
Li 0.765 0.531 0.755
Li 0.767 0.009 0.376
Li 0.799 0.508 0.500
V 0.245 0.496 0.376
V 0.255 0.504 0.876
V 0.745 0.004 0.624
V 0.755 0.996 0.124
O 0.014 0.160 0.609
O 0.486 0.840 0.109
O 0.514 0.340 0.391
O 0.986 0.660 0.891
F 0.043 0.238 0.443
F 0.081 0.258 0.301
F 0.096 0.169 0.138
F 0.125 0.157 0.877
F 0.136 0.414 0.759
F 0.213 0.621 0.491
F 0.287 0.379 0.991
F 0.364 0.586 0.259
F 0.375 0.843 0.377
F 0.404 0.831 0.638
F 0.419 0.742 0.801
F 0.457 0.762 0.943
F 0.543 0.262 0.557
F 0.581 0.242 0.699
F 0.596 0.331 0.862
F 0.625 0.343 0.123
F 0.636 0.086 0.241
F 0.713 0.879 0.509
F 0.787 0.121 0.009
F 0.864 0.914 0.741
F 0.875 0.657 0.623
F 0.904 0.669 0.362
F 0.919 0.758 0.199
F 0.957 0.738 0.057

***

No. 3
A relaxed structure of Sr2NiClO3. Source: the Materials Project database, functional GGA+U.

Values from the calculation:
- spin magnetization (μB/cell) = 4.00
- energy above the most stable polymorph in this dataset (eV/f.u.) = 0.044
- space-group type = Pmma, No. 51
- total energy (eV per atom) = -5.29

a = 5.494 Å, b = 5.497 Å, c = 14.723 Å
α = 90.00°, β = 90.00°, γ = 90.00°
Fractional positions:
Sr 0.250 0.000 0.094
Sr 0.250 0.000 0.341
Sr 0.250 0.500 0.660
Sr 0.250 0.500 0.905
Sr 0.750 0.000 0.659
Sr 0.750 0.000 0.906
Sr 0.750 0.500 0.095
Sr 0.750 0.500 0.340
Ni 0.250 0.000 0.792
Ni 0.250 0.500 0.203
Ni 0.750 0.000 0.208
Ni 0.750 0.500 0.797
Cl 0.250 0.000 0.576
Cl 0.250 0.500 0.419
Cl 0.750 0.000 0.424
Cl 0.750 0.500 0.581
O 0.008 0.242 0.772
O 0.008 0.758 0.772
O 0.250 0.000 0.925
O 0.250 0.500 0.071
O 0.492 0.242 0.772
O 0.492 0.758 0.772
O 0.508 0.242 0.228
O 0.508 0.758 0.228
O 0.750 0.000 0.075
O 0.750 0.500 0.929
O 0.992 0.242 0.228
O 0.992 0.758 0.228

***

No. 4
A relaxed structure of MgMnO2. Source: the Materials Project database, functional GGA+U.

Values from the calculation:
- spin magnetization (μB/cell) = 10.00
- space-group type = Pnnm, No. 58
- total energy (eV per atom) = -6.75

a = 5.320 Å, b = 5.349 Å, c = 3.038 Å
α = 90.00°, β = 90.00°, γ = 90.00°
Fractional positions:
Mg 0.000 0.000 0.000
Mg 0.500 0.500 0.500
Mn 0.000 0.500 0.000
Mn 0.500 0.000 0.500
O 0.164 0.235 0.500
O 0.336 0.735 0.000
O 0.664 0.265 0.000
O 0.836 0.765 0.500

***

No. 5
A relaxed structure of Li9Mn2Co5O16. Source: the Materials Project database, functional GGA+U.

Values from the calculation:
- spin magnetization (μB/cell) = 12.00
- energy above the most stable polymorph in this dataset (eV/f.u.) = 0.998
- space-group type = P1, No. 1
- total energy (eV per atom) = -5.82

a = 5.110 Å, b = 7.680 Å, c = 7.754 Å
α = 82.65°, β = 83.54°, γ = 71.88°
Fractional positions:
Li 0.000 0.000 0.000
Li 0.000 0.492 0.509
Li 0.001 0.253 0.248
Li 0.003 0.624 0.129
Li 0.004 0.750 0.748
Li 0.008 0.374 0.868
Li 0.010 0.869 0.379
Li 0.503 0.436 0.688
Li 0.994 0.131 0.626
Mn 0.497 0.313 0.062
Mn 0.514 0.807 0.563
Co 0.495 0.074 0.810
Co 0.500 0.561 0.321
Co 0.503 0.195 0.444
Co 0.503 0.685 0.935
Co 0.503 0.935 0.187
O 0.260 0.267 0.654
O 0.264 0.167 0.028
O 0.273 0.397 0.275
O 0.278 0.526 0.924
O 0.279 0.899 0.771
O 0.280 0.783 0.160
O 0.284 0.660 0.523
O 0.297 0.014 0.405
O 0.714 0.101 0.209
O 0.722 0.466 0.100
O 0.722 0.845 0.979
O 0.726 0.215 0.859
O 0.731 0.969 0.594
O 0.734 0.614 0.716
O 0.742 0.334 0.460
O 0.744 0.715 0.360

***

No. 6
A relaxed structure of Li3V3P8O29. Source: the Materials Project database, functional GGA+U.

Values from the calculation:
- spin magnetization (μB/cell) = 0.00
- energy above the most stable polymorph in this dataset (eV/f.u.) = 0.341
- space-group type = P1, No. 1
- total energy (eV per atom) = -7.05

a = 9.719 Å, b = 9.777 Å, c = 14.387 Å
α = 88.73°, β = 89.86°, γ = 60.22°
Fractional positions:
Li 0.000 0.000 0.000
Li 0.081 0.232 0.881
Li 0.556 0.611 0.879
Li 0.684 0.641 0.376
Li 0.784 0.309 0.429
Li 0.872 0.987 0.497
V 0.217 0.316 0.680
V 0.218 0.880 0.196
V 0.341 0.742 0.683
V 0.343 0.309 0.193
V 0.774 0.880 0.694
V 0.779 0.746 0.184
P 0.011 0.989 0.782
P 0.082 0.094 0.602
P 0.093 0.225 0.096
P 0.103 0.654 0.571
P 0.115 0.649 0.073
P 0.437 0.976 0.804
P 0.452 0.974 0.308
P 0.468 0.394 0.780
P 0.476 0.528 0.274
P 0.544 0.636 0.094
P 0.562 0.231 0.598
P 0.686 0.093 0.103
P 0.690 0.631 0.594
P 0.865 0.996 0.282
P 0.868 0.534 0.772
P 0.994 0.393 0.276
O 0.022 0.058 0.872
O 0.027 0.296 0.003
O 0.038 0.961 0.266
O 0.039 0.391 0.775
O 0.101 0.504 0.614
O 0.104 0.660 0.468
O 0.107 0.650 0.970
O 0.116 0.056 0.106
O 0.121 0.793 0.112
O 0.125 0.227 0.604
O 0.159 0.830 0.760
O 0.160 0.381 0.271
O 0.237 0.931 0.609
O 0.250 0.497 0.122
O 0.253 0.218 0.120
O 0.258 0.643 0.616
O 0.295 0.129 0.760
O 0.296 0.982 0.263
O 0.306 0.402 0.755
O 0.320 0.691 0.269
O 0.396 0.794 0.119
O 0.397 0.237 0.607
O 0.432 0.396 0.274
O 0.434 0.832 0.761
O 0.438 0.567 0.772
O 0.441 0.970 0.907
O 0.449 0.966 0.411
O 0.453 0.121 0.264
O 0.514 0.233 0.107
O 0.519 0.660 0.611
O 0.535 0.577 0.002
O 0.542 0.313 0.869
O 0.561 0.511 0.174
O 0.578 0.309 0.691
O 0.587 0.306 0.514
O 0.588 0.510 0.350
O 0.593 0.969 0.760
O 0.595 0.821 0.268
O 0.679 0.937 0.118
O 0.691 0.657 0.109
O 0.691 0.787 0.612
O 0.695 0.054 0.606
O 0.750 0.560 0.502
O 0.765 0.114 0.198
O 0.770 0.540 0.853
O 0.781 0.087 0.022
O 0.795 0.512 0.676
O 0.806 0.073 0.373
O 0.861 0.842 0.267
O 0.863 0.572 0.271
O 0.864 0.969 0.772
O 0.876 0.690 0.759
O 0.959 0.659 0.118
O 0.959 0.805 0.611
O 0.961 0.315 0.356
O 0.972 0.113 0.525
O 0.974 0.324 0.178
O 0.993 0.112 0.700

***

Short version: formation energy from the elements = -983.5 -2899.0 -2250.3 -2350.3 -1833.0 -2525.0 meV/atom, in the order given.